(1)
Density functional theory data (GGA+U) for an optimized crystal structure of VP4O12.

Output
Total energy after the MP2020 corrections in eV/atom: -7.846
DFT formation energy in meV/atom: -2545.2
Electronic total energy in eV/atom: -7.261
Magnetic moment in μB per cell: 4.00
Energy above the lowest structure with this stoichiometry in eV per formula unit: 0.00

a = 12.8665 Å, b = 8.4106 Å, c = 9.1947 Å
α = 90.00°, β = 90.00°, γ = 90.00°
Closest atoms and distances in Å follow each position.
Space group Pbcn (No. 60)
Inequivalent atoms, fractional coordinates:
V1 0.0000 0.1453 0.2500  6 O 1.89-1.99
P1 0.1457 0.3157 0.0073  2 O 1.46-1.54
P2 0.1484 0.0359 0.5158  4 O 1.51-1.58
O1 0.0675 0.0260 0.6345  1 P 1.51
O2 0.0731 0.2980 0.1392  1 P 1.54
O3 0.1145 0.4062 0.8790  1 P 1.46
O4 0.1159 0.1312 0.3823  1 P 1.52
O5 0.1846 0.1355 0.9649  2 P 1.58-1.64
O6 0.2477 0.1183 0.5836  2 P 1.58-1.64

(2)
Density functional theory data (GGA+U) for an optimized crystal structure of VP2O7.

Output
Total energy after the MP2020 corrections in eV/atom: -8.051
DFT formation energy in meV/atom: -2595.9
Electronic total energy in eV/atom: -7.400
Magnetic moment in μB per cell: 8.00
Energy above the lowest structure with this stoichiometry in eV per formula unit: 0.31

a = 9.6829 Å, b = 8.0365 Å, c = 13.3814 Å
α = 90.00°, β = 110.49°, γ = 90.00°
Closest atoms and distances in Å follow each position.
Space group C2/c (No. 15)
Inequivalent atoms, fractional coordinates:
V1 0.1443 0.2427 0.1429  6 O 1.90-2.00
P1 0.1242 0.0398 0.9311  4 O 1.53-1.61
P2 0.1685 0.4204 0.3644  4 O 1.53-1.61
O1 0.0122 0.0516 0.1421  1 P 1.53
O2 0.0219 0.3958 0.3817  1 P 1.53
O3 0.0924 0.1934 0.9874  1 P 1.53
O4 0.1866 0.4066 0.8228  1 P 1.53
O5 0.1975 0.2800 0.2965  1 P 1.54
O6 0.2052 0.0965 0.5199  2 P 1.61
O7 0.2291 0.0845 0.8707  1 P 1.55

(3)
Density functional theory data (GGA+U) for an optimized crystal structure of V4P6O21.

Output
Total energy after the MP2020 corrections in eV/atom: -8.133
DFT formation energy in meV/atom: -2561.4
Electronic total energy in eV/atom: -7.448
Magnetic moment in μB per cell: 1.26

a = 21.7886 Å, b = 7.6308 Å, c = 9.7302 Å
α = 90.00°, β = 90.00°, γ = 90.00°
Closest atoms and distances in Å follow each position.
Space group Pnma (No. 62)
Inequivalent atoms, fractional coordinates:
V1 0.0036 0.0536 0.2394  5 O 1.93-2.15
V2 0.2435 0.0533 0.7207  5 O 1.92-2.14
P1 0.0478 0.7500 0.4677  4 O 1.51-1.57
P2 0.0613 0.7500 0.0289  4 O 1.50-1.57
P3 0.1093 0.2500 0.8327  4 O 1.53-1.62
P4 0.1418 0.2500 0.1573  4 O 1.53-1.62
P5 0.1892 0.7500 0.4985  4 O 1.52-1.58
P6 0.1993 0.7500 0.9466  4 O 1.50-1.55
O1 0.0228 0.7500 0.8945  1 P 1.55
O2 0.0273 0.5825 0.3981  1 P 1.51
O3 0.0313 0.7500 0.6231  1 P 1.55
O4 0.0530 0.5817 0.1070  1 P 1.50
O5 0.0740 0.0812 0.8028  1 P 1.53
O6 0.0778 0.2500 0.2327  1 P 1.57
O7 0.1196 0.7500 0.4527  2 P 1.57-1.58
O8 0.1275 0.2500 0.9937  2 P 1.62
O9 0.1289 0.7500 0.9719  2 P 1.55-1.57
O10 0.1709 0.2500 0.7503  1 P 1.56
O11 0.1769 0.0825 0.1908  1 P 1.53
O12 0.1996 0.5812 0.5774  1 P 1.52
O13 0.2138 0.5808 0.8741  1 P 1.50
O14 0.2218 0.7500 0.3564  1 P 1.55
O15 0.2311 0.7500 0.0895  1 P 1.55

(4)
Density functional theory data (GGA+U) for an optimized crystal structure of VP4O12.

Output
Maximum piezoelectric response in C/m²: 0.13
Total energy after the MP2020 corrections in eV/atom: -7.838
DFT formation energy in meV/atom: -2537.2
Electronic total energy in eV/atom: -7.253
Energy above the lowest structure with this stoichiometry in eV per formula unit: 0.14

a = 5.1734 Å, b = 13.6726 Å, c = 7.1574 Å
α = 90.00°, β = 98.92°, γ = 90.00°
Closest atoms and distances in Å follow each position.
Space group P2_1 (No. 4)
Inequivalent atoms, fractional coordinates:
V1 0.0136 0.0000 0.0050  6 O 1.86-2.02
P1 0.2775 0.5896 0.3882  3 O 1.46-1.59
P2 0.3618 0.9336 0.4049  3 O 1.46-1.61
P3 0.4722 0.3614 0.9486  4 O 1.51-1.59
P4 0.4976 0.1404 0.9538  4 O 1.51-1.59
O1 0.1183 0.5153 0.2506  1 P 1.56
O2 0.1332 0.6671 0.4670  1 P 1.46
O3 0.1344 0.9785 0.2630  1 P 1.56
O4 0.2004 0.3760 0.9951  1 P 1.51
O5 0.2260 0.1224 0.9999  1 P 1.51
O6 0.2829 0.5809 0.9369  1 P 1.51
O7 0.3013 0.8779 0.5659  1 P 1.46
O8 0.3179 0.9278 0.9500  1 P 1.51
O9 0.4337 0.7524 0.0011  2 P 1.59
O10 0.4479 0.5266 0.5491  2 P 1.59-1.61
O11 0.4683 0.3692 0.7260  2 P 1.59-1.64
O12 0.4965 0.1289 0.7322  2 P 1.59-1.65

(5)
Density functional theory data (GGA+U) for an optimized crystal structure of VP4O12.

Output
Total energy after the MP2020 corrections in eV/atom: -7.773
DFT formation energy in meV/atom: -2472.3
Electronic total energy in eV/atom: -7.188
Magnetic moment in μB per cell: 4.00
Energy above the lowest structure with this stoichiometry in eV per formula unit: 1.24

a = 9.0579 Å, b = 10.3309 Å, c = 9.2583 Å
α = 90.00°, β = 90.87°, γ = 90.00°
Closest atoms and distances in Å follow each position.
Space group P2_1/c (No. 14)
Inequivalent atoms, fractional coordinates:
V1 0.2472 0.2130 0.4865  6 O 1.92-2.00
P1 0.0472 0.1036 0.2107  4 O 1.52-1.59
P2 0.2505 0.6224 0.7085  2 O 1.47
P3 0.2521 0.0141 0.7648  4 O 1.51-1.59
P4 0.4415 0.1096 0.2099  4 O 1.52-1.58
O1 0.0920 0.1433 0.3635  1 P 1.52
O2 0.0957 0.2042 0.1010  1 P 1.52
O3 0.0974 0.5345 0.6661  2 P 1.56-1.70
O4 0.1269 0.5888 0.3011  2 P 1.59
O5 0.2386 0.0605 0.6098  1 P 1.52
O6 0.2481 0.7303 0.6054  1 P 1.47
O7 0.2560 0.1219 0.8748  1 P 1.51
O8 0.2684 0.6233 0.8666  1 P 1.47
O9 0.3746 0.5155 0.6422  2 P 1.56-1.70
O10 0.3871 0.5813 0.2875  2 P 1.58
O11 0.3936 0.1384 0.3638  1 P 1.53
O12 0.4095 0.2225 0.1085  1 P 1.52

(6)
Density functional theory data (GGA+U) for an optimized crystal structure of VP2O7.

Output
Total energy after the MP2020 corrections in eV/atom: -7.985
DFT formation energy in meV/atom: -2530.8
Electronic total energy in eV/atom: -7.335
Magnetic moment in μB per cell: 2.00
Energy above the lowest structure with this stoichiometry in eV per formula unit: 0.96

a = 6.2730 Å, b = 6.3931 Å, c = 6.8870 Å
α = 88.77°, β = 66.27°, γ = 85.03°
Closest atoms and distances in Å follow each position.
Space group P-1 (No. 2)
Inequivalent atoms, fractional coordinates:
V1 0.0929 0.1472 0.2962  6 O 1.89-2.10
P1 0.2375 0.6336 0.2543  4 O 1.47-1.63
P2 0.3366 0.8864 0.8534  4 O 1.53-1.58
O1 0.0595 0.8305 0.3797  1 P 1.61
O2 0.0938 0.4437 0.2759  1 P 1.54
O3 0.2034 0.8534 0.7134  1 P 1.54
O4 0.2378 0.0871 0.9883  1 P 1.53
O5 0.3007 0.6933 0.0076  2 P 1.58-1.63
O6 0.4023 0.1144 0.2918  1 P 1.54
O7 0.4397 0.6019 0.3108  1 P 1.47

(7)
Density functional theory data (GGA+U) for an optimized crystal structure of VP4O12.

Output
Total energy after the MP2020 corrections in eV/atom: -7.817
DFT formation energy in meV/atom: -2516.6
Electronic total energy in eV/atom: -7.232
Magnetic moment in μB per cell: 4.01
Energy above the lowest structure with this stoichiometry in eV per formula unit: 0.49

a = 12.3477 Å, b = 8.1708 Å, c = 9.9444 Å
α = 90.00°, β = 116.85°, γ = 90.00°
Closest atoms and distances in Å follow each position.
Space group C2/c (No. 15)
Inequivalent atoms, fractional coordinates:
V1 0.2500 0.2500 0.0000  6 O 1.90-2.01
P1 0.0055 0.2472 0.0329  3 O 1.45-1.62
P2 0.1785 0.0164 0.6885  4 O 1.51-1.60
O1 0.0088 0.3948 0.3957  1 P 1.45
O2 0.0640 0.0967 0.1551  2 P 1.59-1.65
O3 0.0809 0.2447 0.9426  1 P 1.56
O4 0.1258 0.1703 0.5791  2 P 1.60-1.62
O5 0.2307 0.0744 0.8493  1 P 1.51
O6 0.2338 0.4236 0.8512  1 P 1.51